A plane-wave DFT calculation with meta-GGA r2SCAN was carried out for an optimized crystal structure of Ni3B2O6.

Mass density: 4.91 g/cm³
Space group: Pnnm
Energy of formation: -1824 meV per atom

The structure in CIF format:
```
data_Ni3B2O6
_cell_length_a 4.447
_cell_length_b 5.393
_cell_length_c 8.286
_cell_angle_alpha 90.00
_cell_angle_beta 90.00
_cell_angle_gamma 90.00
_space_group_name_H-M_alt 'P 1'
_space_group_IT_number 1
loop_
_space_group_symop_operation_xyz
'x,y,z'
loop_
_atom_site_label
_atom_site_fract_x
_atom_site_fract_y
_atom_site_fract_z
Ni1 0.000 0.000 0.000
Ni2 0.000 0.500 0.184
Ni3 0.000 0.500 0.816
Ni4 0.500 0.000 0.316
Ni5 0.500 0.000 0.684
Ni6 0.500 0.500 0.500
B1 0.042 0.246 0.500
B2 0.458 0.746 0.000
B3 0.542 0.254 0.000
B4 0.958 0.754 0.500
O1 0.202 0.298 0.359
O2 0.202 0.298 0.641
O3 0.246 0.325 0.000
O4 0.254 0.825 0.500
O5 0.298 0.798 0.141
O6 0.298 0.798 0.859
O7 0.702 0.202 0.141
O8 0.702 0.202 0.859
O9 0.746 0.175 0.500
O10 0.754 0.675 0.000
O11 0.798 0.702 0.359
O12 0.798 0.702 0.641
```

---

A plane-wave DFT calculation with meta-GGA r2SCAN was carried out for an optimized crystal structure of Pr2NiB10.

Mass density: 5.58 g/cm³
Space group: Pbam
Energy of formation: -585 meV per atom

The structure in CIF format:
```
data_Pr2NiB10
_cell_length_a 5.648
_cell_length_b 11.243
_cell_length_c 4.206
_cell_angle_alpha 90.00
_cell_angle_beta 90.00
_cell_angle_gamma 90.00
_space_group_name_H-M_alt 'P 1'
_space_group_IT_number 1
loop_
_space_group_symop_operation_xyz
'x,y,z'
loop_
_atom_site_label
_atom_site_fract_x
_atom_site_fract_y
_atom_site_fract_z
Pr1 0.189 0.137 0.000
Pr2 0.311 0.637 0.000
Pr3 0.689 0.363 0.000
Pr4 0.811 0.863 0.000
Ni1 0.000 0.500 0.500
Ni2 0.500 0.000 0.500
B1 0.032 0.313 0.500
B2 0.127 0.958 0.500
B3 0.159 0.802 0.500
B4 0.200 0.386 0.200
B5 0.200 0.386 0.800
B6 0.300 0.886 0.200
B7 0.300 0.886 0.800
B8 0.341 0.302 0.500
B9 0.373 0.458 0.500
B10 0.468 0.813 0.500
B11 0.532 0.187 0.500
B12 0.627 0.542 0.500
B13 0.659 0.698 0.500
B14 0.700 0.114 0.200
B15 0.700 0.114 0.800
B16 0.800 0.614 0.200
B17 0.800 0.614 0.800
B18 0.841 0.198 0.500
B19 0.873 0.042 0.500
B20 0.968 0.687 0.500
```

---

A plane-wave DFT calculation with meta-GGA r2SCAN was carried out for an optimized crystal structure of Pr2Ni5B4.

Mass density: 7.50 g/cm³
Space group: C2/m
Energy of formation: -465 meV per atom

The structure in CIF format:
```
data_Pr2Ni5B4
_cell_length_a 5.506
_cell_length_b 5.506
_cell_length_c 6.773
_cell_angle_alpha 121.07
_cell_angle_beta 121.07
_cell_angle_gamma 55.13
_space_group_name_H-M_alt 'P 1'
_space_group_IT_number 1
loop_
_space_group_symop_operation_xyz
'x,y,z'
loop_
_atom_site_label
_atom_site_fract_x
_atom_site_fract_y
_atom_site_fract_z
Pr1 0.225 0.225 0.148
Pr2 0.775 0.775 0.852
Ni1 0.171 0.677 0.627
Ni2 0.323 0.829 0.373
Ni3 0.500 0.500 0.000
Ni4 0.677 0.171 0.627
Ni5 0.829 0.323 0.373
B1 0.099 0.099 0.638
B2 0.279 0.279 0.659
B3 0.721 0.721 0.341
B4 0.901 0.901 0.362
```

---

A plane-wave DFT calculation with meta-GGA r2SCAN was carried out for an optimized crystal structure of PrNiB4.

Mass density: 6.28 g/cm³
Space group: I4/mmm
Energy of formation: -558 meV per atom

The structure in CIF format:
```
data_PrNiB4
_cell_length_a 6.956
_cell_length_b 6.956
_cell_length_c 6.956
_cell_angle_alpha 112.81
_cell_angle_beta 112.81
_cell_angle_gamma 102.99
_space_group_name_H-M_alt 'P 1'
_space_group_IT_number 1
loop_
_space_group_symop_operation_xyz
'x,y,z'
loop_
_atom_site_label
_atom_site_fract_x
_atom_site_fract_y
_atom_site_fract_z
Pr1 0.206 0.206 0.000
Pr2 0.250 0.750 0.500
Pr3 0.750 0.250 0.500
Pr4 0.794 0.794 0.000
Ni1 0.273 0.500 0.773
Ni2 0.500 0.273 0.773
Ni3 0.500 0.727 0.227
Ni4 0.727 0.500 0.227
B1 0.113 0.277 0.390
B2 0.113 0.723 0.836
B3 0.114 0.114 0.530
B4 0.114 0.584 0.000
B5 0.277 0.113 0.390
B6 0.277 0.887 0.164
B7 0.416 0.416 0.530
B8 0.416 0.886 0.000
B9 0.584 0.114 0.000
B10 0.584 0.584 0.470
B11 0.723 0.113 0.836
B12 0.723 0.887 0.610
B13 0.886 0.416 0.000
B14 0.886 0.886 0.470
B15 0.887 0.277 0.164
B16 0.887 0.723 0.610
```

---

A plane-wave DFT calculation with meta-GGA r2SCAN was carried out for an optimized crystal structure of Ni21B6Sb2.

Mass density: 8.87 g/cm³
Space group: Fm-3m
Energy of formation: -239 meV per atom

The structure in CIF format:
```
data_Ni21B6Sb2
_cell_length_a 7.417
_cell_length_b 7.417
_cell_length_c 7.417
_cell_angle_alpha 60.00
_cell_angle_beta 60.00
_cell_angle_gamma 60.00
_space_group_name_H-M_alt 'P 1'
_space_group_IT_number 1
loop_
_space_group_symop_operation_xyz
'x,y,z'
loop_
_atom_site_label
_atom_site_fract_x
_atom_site_fract_y
_atom_site_fract_z
Ni1 0.000 0.000 0.000
Ni2 0.000 0.000 0.336
Ni3 0.000 0.000 0.664
Ni4 0.000 0.336 0.000
Ni5 0.000 0.336 0.664
Ni6 0.000 0.664 0.000
Ni7 0.000 0.664 0.336
Ni8 0.153 0.616 0.616
Ni9 0.336 0.000 0.000
Ni10 0.336 0.000 0.664
Ni11 0.336 0.664 0.000
Ni12 0.384 0.384 0.384
Ni13 0.384 0.384 0.847
Ni14 0.384 0.847 0.384
Ni15 0.616 0.153 0.616
Ni16 0.616 0.616 0.153
Ni17 0.616 0.616 0.616
Ni18 0.664 0.000 0.000
Ni19 0.664 0.000 0.336
Ni20 0.664 0.336 0.000
Ni21 0.847 0.384 0.384
B1 0.272 0.272 0.728
B2 0.272 0.728 0.272
B3 0.272 0.728 0.728
B4 0.728 0.272 0.272
B5 0.728 0.272 0.728
B6 0.728 0.728 0.272
Sb1 0.250 0.250 0.250
Sb2 0.750 0.750 0.750
```

---

A plane-wave DFT calculation with meta-GGA r2SCAN was carried out for an optimized crystal structure of TaNiB2.

Mass density: 11.44 g/cm³
Space group: Pnma
Energy of formation: -659 meV per atom

The structure in CIF format:
```
data_TaNiB2
_cell_length_a 5.998
_cell_length_b 3.108
_cell_length_c 8.138
_cell_angle_alpha 90.00
_cell_angle_beta 90.00
_cell_angle_gamma 90.00
_space_group_name_H-M_alt 'P 1'
_space_group_IT_number 1
loop_
_space_group_symop_operation_xyz
'x,y,z'
loop_
_atom_site_label
_atom_site_fract_x
_atom_site_fract_y
_atom_site_fract_z
Ta1 0.133 0.250 0.133
Ta2 0.367 0.750 0.633
Ta3 0.633 0.250 0.367
Ta4 0.867 0.750 0.867
Ni1 0.001 0.250 0.616
Ni2 0.499 0.750 0.116
Ni3 0.501 0.250 0.884
Ni4 0.999 0.750 0.384
B1 0.172 0.250 0.832
B2 0.241 0.250 0.424
B3 0.259 0.750 0.924
B4 0.328 0.750 0.332
B5 0.672 0.250 0.668
B6 0.741 0.250 0.076
B7 0.759 0.750 0.576
B8 0.828 0.750 0.168
```

---

A plane-wave DFT calculation with meta-GGA r2SCAN was carried out for an optimized crystal structure of Ta3Ni20B6.

Mass density: 10.24 g/cm³
Space group: Fm-3m
Energy of formation: -370 meV per atom

The structure in CIF format:
```
data_Ta3Ni20B6
_cell_length_a 7.419
_cell_length_b 7.419
_cell_length_c 7.419
_cell_angle_alpha 60.00
_cell_angle_beta 60.00
_cell_angle_gamma 60.00
_space_group_name_H-M_alt 'P 1'
_space_group_IT_number 1
loop_
_space_group_symop_operation_xyz
'x,y,z'
loop_
_atom_site_label
_atom_site_fract_x
_atom_site_fract_y
_atom_site_fract_z
Ta1 0.000 0.000 0.000
Ta2 0.250 0.250 0.250
Ta3 0.750 0.750 0.750
Ni1 0.000 0.000 0.344
Ni2 0.000 0.000 0.656
Ni3 0.000 0.344 0.000
Ni4 0.000 0.344 0.656
Ni5 0.000 0.656 0.000
Ni6 0.000 0.656 0.344
Ni7 0.153 0.616 0.616
Ni8 0.344 0.000 0.000
Ni9 0.344 0.000 0.656
Ni10 0.344 0.656 0.000
Ni11 0.384 0.384 0.384
Ni12 0.384 0.384 0.847
Ni13 0.384 0.847 0.384
Ni14 0.616 0.153 0.616
Ni15 0.616 0.616 0.153
Ni16 0.616 0.616 0.616
Ni17 0.656 0.000 0.000
Ni18 0.656 0.000 0.344
Ni19 0.656 0.344 0.000
Ni20 0.847 0.384 0.384
B1 0.267 0.267 0.733
B2 0.267 0.733 0.267
B3 0.267 0.733 0.733
B4 0.733 0.267 0.267
B5 0.733 0.267 0.733
B6 0.733 0.733 0.267
```

---

A plane-wave DFT calculation with meta-GGA r2SCAN was carried out for an optimized crystal structure of TaNiB.

Mass density: 12.60 g/cm³
Space group: Cmcm
Energy of formation: -622 meV per atom

The structure in CIF format:
```
data_TaNiB
_cell_length_a 6.811
_cell_length_b 6.811
_cell_length_c 3.053
_cell_angle_alpha 90.00
_cell_angle_beta 90.00
_cell_angle_gamma 152.22
_space_group_name_H-M_alt 'P 1'
_space_group_IT_number 1
loop_
_space_group_symop_operation_xyz
'x,y,z'
loop_
_atom_site_label
_atom_site_fract_x
_atom_site_fract_y
_atom_site_fract_z
Ta1 0.099 0.901 0.750
Ta2 0.901 0.099 0.250
Ni1 0.296 0.704 0.750
Ni2 0.704 0.296 0.250
B1 0.465 0.535 0.750
B2 0.535 0.465 0.250
```

---

A plane-wave DFT calculation with meta-GGA r2SCAN was carried out for an optimized crystal structure of TbNiB4.

Mass density: 7.19 g/cm³
Space group: I4/mmm
Energy of formation: -639 meV per atom

The structure in CIF format:
```
data_TbNiB4
_cell_length_a 6.813
_cell_length_b 6.813
_cell_length_c 6.813
_cell_angle_alpha 112.98
_cell_angle_beta 112.98
_cell_angle_gamma 102.65
_space_group_name_H-M_alt 'P 1'
_space_group_IT_number 1
loop_
_space_group_symop_operation_xyz
'x,y,z'
loop_
_atom_site_label
_atom_site_fract_x
_atom_site_fract_y
_atom_site_fract_z
Tb1 0.204 0.204 0.000
Tb2 0.250 0.750 0.500
Tb3 0.750 0.250 0.500
Tb4 0.796 0.796 0.000
Ni1 0.273 0.500 0.773
Ni2 0.500 0.273 0.773
Ni3 0.500 0.727 0.227
Ni4 0.727 0.500 0.227
B1 0.112 0.276 0.388
B2 0.112 0.724 0.836
B3 0.114 0.114 0.534
B4 0.114 0.581 0.000
B5 0.276 0.112 0.388
B6 0.276 0.888 0.164
B7 0.419 0.419 0.534
B8 0.419 0.886 0.000
B9 0.581 0.114 0.000
B10 0.581 0.581 0.466
B11 0.724 0.112 0.836
B12 0.724 0.888 0.612
B13 0.886 0.419 0.000
B14 0.886 0.886 0.466
B15 0.888 0.276 0.164
B16 0.888 0.724 0.612
```

---

A plane-wave DFT calculation with meta-GGA r2SCAN was carried out for an optimized crystal structure of Tb2NiB10.

Mass density: 6.34 g/cm³
Space group: Pbam
Energy of formation: -586 meV per atom

The structure in CIF format:
```
data_Tb2NiB10
_cell_length_a 5.541
_cell_length_b 11.065
_cell_length_c 4.141
_cell_angle_alpha 90.00
_cell_angle_beta 90.00
_cell_angle_gamma 90.00
_space_group_name_H-M_alt 'P 1'
_space_group_IT_number 1
loop_
_space_group_symop_operation_xyz
'x,y,z'
loop_
_atom_site_label
_atom_site_fract_x
_atom_site_fract_y
_atom_site_fract_z
Tb1 0.185 0.138 0.000
Tb2 0.315 0.638 0.000
Tb3 0.685 0.362 0.000
Tb4 0.815 0.862 0.000
Ni1 0.000 0.500 0.500
Ni2 0.500 0.000 0.500
B1 0.027 0.314 0.500
B2 0.127 0.959 0.500
B3 0.161 0.801 0.500
B4 0.200 0.386 0.199
B5 0.200 0.386 0.801
B6 0.300 0.886 0.199
B7 0.300 0.886 0.801
B8 0.339 0.301 0.500
B9 0.373 0.459 0.500
B10 0.473 0.814 0.500
B11 0.527 0.186 0.500
B12 0.627 0.541 0.500
B13 0.661 0.699 0.500
B14 0.700 0.114 0.199
B15 0.700 0.114 0.801
B16 0.800 0.614 0.199
B17 0.800 0.614 0.801
B18 0.839 0.199 0.500
B19 0.873 0.041 0.500
B20 0.973 0.686 0.500
```

---

A plane-wave DFT calculation with meta-GGA r2SCAN was carried out for an optimized crystal structure of Tb3Ni7B2.

Mass density: 9.62 g/cm³
Space group: P6_3/mmc
Energy of formation: -497 meV per atom

The structure in CIF format:
```
data_Tb3Ni7B2
_cell_length_a 5.058
_cell_length_b 5.058
_cell_length_c 14.170
_cell_angle_alpha 90.00
_cell_angle_beta 90.00
_cell_angle_gamma 120.00
_space_group_name_H-M_alt 'P 1'
_space_group_IT_number 1
loop_
_space_group_symop_operation_xyz
'x,y,z'
loop_
_atom_site_label
_atom_site_fract_x
_atom_site_fract_y
_atom_site_fract_z
Tb1 0.333 0.667 0.032
Tb2 0.333 0.667 0.250
Tb3 0.333 0.667 0.468
Tb4 0.667 0.333 0.532
Tb5 0.667 0.333 0.750
Tb6 0.667 0.333 0.968
Ni1 0.000 0.000 0.000
Ni2 0.000 0.000 0.500
Ni3 0.165 0.330 0.649
Ni4 0.165 0.330 0.851
Ni5 0.165 0.835 0.649
Ni6 0.165 0.835 0.851
Ni7 0.330 0.165 0.149
Ni8 0.330 0.165 0.351
Ni9 0.670 0.835 0.649
Ni10 0.670 0.835 0.851
Ni11 0.835 0.165 0.149
Ni12 0.835 0.165 0.351
Ni13 0.835 0.670 0.149
Ni14 0.835 0.670 0.351
B1 0.000 0.000 0.250
B2 0.000 0.000 0.750
B3 0.333 0.667 0.750
B4 0.667 0.333 0.250
```

---

A plane-wave DFT calculation with meta-GGA r2SCAN was carried out for an optimized crystal structure of Ti3Ni20B6.

Mass density: 8.09 g/cm³
Space group: Fm-3m
Energy of formation: -421 meV per atom

The structure in CIF format:
```
data_Ti3Ni20B6
_cell_length_a 7.376
_cell_length_b 7.376
_cell_length_c 7.376
_cell_angle_alpha 60.00
_cell_angle_beta 60.00
_cell_angle_gamma 60.00
_space_group_name_H-M_alt 'P 1'
_space_group_IT_number 1
loop_
_space_group_symop_operation_xyz
'x,y,z'
loop_
_atom_site_label
_atom_site_fract_x
_atom_site_fract_y
_atom_site_fract_z
Ti1 0.000 0.000 0.000
Ti2 0.250 0.250 0.250
Ti3 0.750 0.750 0.750
Ni1 0.000 0.000 0.342
Ni2 0.000 0.000 0.658
Ni3 0.000 0.342 0.000
Ni4 0.000 0.342 0.658
Ni5 0.000 0.658 0.000
Ni6 0.000 0.658 0.342
Ni7 0.149 0.617 0.617
Ni8 0.342 0.000 0.000
Ni9 0.342 0.000 0.658
Ni10 0.342 0.658 0.000
Ni11 0.383 0.383 0.383
Ni12 0.383 0.383 0.851
Ni13 0.383 0.851 0.383
Ni14 0.617 0.149 0.617
Ni15 0.617 0.617 0.149
Ni16 0.617 0.617 0.617
Ni17 0.658 0.000 0.000
Ni18 0.658 0.000 0.342
Ni19 0.658 0.342 0.000
Ni20 0.851 0.383 0.383
B1 0.268 0.268 0.732
B2 0.268 0.732 0.268
B3 0.268 0.732 0.732
B4 0.732 0.268 0.268
B5 0.732 0.268 0.732
B6 0.732 0.732 0.268
```

---

A plane-wave DFT calculation with meta-GGA r2SCAN was carried out for an optimized crystal structure of U2Ni21B6.

Mass density: 10.05 g/cm³
Space group: Fm-3m
Energy of formation: -300 meV per atom

The structure in CIF format:
```
data_U2Ni21B6
_cell_length_a 7.455
_cell_length_b 7.455
_cell_length_c 7.455
_cell_angle_alpha 60.00
_cell_angle_beta 60.00
_cell_angle_gamma 60.00
_space_group_name_H-M_alt 'P 1'
_space_group_IT_number 1
loop_
_space_group_symop_operation_xyz
'x,y,z'
loop_
_atom_site_label
_atom_site_fract_x
_atom_site_fract_y
_atom_site_fract_z
U1 0.250 0.250 0.250
U2 0.750 0.750 0.750
Ni1 0.000 0.000 0.000
Ni2 0.000 0.000 0.341
Ni3 0.000 0.000 0.659
Ni4 0.000 0.341 0.000
Ni5 0.000 0.341 0.659
Ni6 0.000 0.659 0.000
Ni7 0.000 0.659 0.341
Ni8 0.156 0.615 0.615
Ni9 0.341 0.000 0.000
Ni10 0.341 0.000 0.659
Ni11 0.341 0.659 0.000
Ni12 0.385 0.385 0.385
Ni13 0.385 0.385 0.844
Ni14 0.385 0.844 0.385
Ni15 0.615 0.156 0.615
Ni16 0.615 0.615 0.156
Ni17 0.615 0.615 0.615
Ni18 0.659 0.000 0.000
Ni19 0.659 0.000 0.341
Ni20 0.659 0.341 0.000
Ni21 0.844 0.385 0.385
B1 0.265 0.265 0.735
B2 0.265 0.735 0.265
B3 0.265 0.735 0.735
B4 0.735 0.265 0.265
B5 0.735 0.265 0.735
B6 0.735 0.735 0.265
```

---

A plane-wave DFT calculation with meta-GGA r2SCAN was carried out for an optimized crystal structure of NiB2W2.

Mass density: 14.50 g/cm³
Space group: Immm
Energy of formation: -439 meV per atom

The structure in CIF format:
```
data_NiB2W2
_cell_length_a 4.494
_cell_length_b 4.494
_cell_length_c 4.494
_cell_angle_alpha 138.40
_cell_angle_beta 119.22
_cell_angle_gamma 76.35
_space_group_name_H-M_alt 'P 1'
_space_group_IT_number 1
loop_
_space_group_symop_operation_xyz
'x,y,z'
loop_
_atom_site_label
_atom_site_fract_x
_atom_site_fract_y
_atom_site_fract_z
Ni1 0.000 0.000 0.000
B1 0.296 0.500 0.796
B2 0.704 0.500 0.204
W1 0.299 0.799 0.500
W2 0.701 0.201 0.500
```

---

A plane-wave DFT calculation with meta-GGA r2SCAN was carried out for an optimized crystal structure of YNi4B.

Mass density: 7.63 g/cm³
Space group: P6/mmm
Energy of formation: -463 meV per atom

The structure in CIF format:
```
data_YNi4B
_cell_length_a 4.945
_cell_length_b 4.945
_cell_length_c 6.878
_cell_angle_alpha 90.00
_cell_angle_beta 90.00
_cell_angle_gamma 120.00
_space_group_name_H-M_alt 'P 1'
_space_group_IT_number 1
loop_
_space_group_symop_operation_xyz
'x,y,z'
loop_
_atom_site_label
_atom_site_fract_x
_atom_site_fract_y
_atom_site_fract_z
Y1 0.000 0.000 0.000
Y2 0.000 0.000 0.500
Ni1 0.000 0.500 0.208
Ni2 0.000 0.500 0.792
Ni3 0.333 0.667 0.500
Ni4 0.500 0.000 0.208
Ni5 0.500 0.000 0.792
Ni6 0.500 0.500 0.208
Ni7 0.500 0.500 0.792
Ni8 0.667 0.333 0.500
B1 0.333 0.667 0.000
B2 0.667 0.333 0.000
```